Entry from the Materials Project: Ti3Nb after structural relaxation (GGA-PBE).

Cell and atoms, written as extended XYZ:
```
8
Lattice="-5.787 -0.750 0.030 3.364 -3.109 3.616 -0.426 3.419 3.336" Properties=species:S:1:pos:R:3 pbc="T T T"
Ti -1.168 -2.240 3.870
Ti -2.899 -0.140 4.944
Ti 0.050 -0.301 2.038
Nb -0.006 0.242 4.923
Nb -2.843 -0.682 2.059
Ti -1.681 1.800 3.112
Ti -4.589 1.423 3.127
Ti 1.740 -1.863 3.855
```

Entry from the Materials Project: Mg14VGa after structural relaxation (GGA-PBE).

Cell and atoms, written as extended XYZ:
```
16
Lattice="6.271 0.000 0.000 -3.136 5.431 0.000 0.000 0.000 10.293" Properties=species:S:1:pos:R:3 pbc="T T T"
Mg 0.000 3.588 9.013
Mg 0.000 3.588 3.853
Mg 1.539 0.922 3.853
Mg 1.572 4.524 6.433
Mg 3.136 1.815 6.433
Mg 3.136 1.803 1.287
Mg 1.562 4.529 1.287
Mg -1.562 4.529 1.287
Mg -1.572 4.524 6.433
Mg 1.539 0.922 9.013
Ga 0.000 1.810 6.433
Mg 3.136 3.621 9.004
Mg 4.732 0.922 9.013
Mg 3.136 3.621 3.861
V 0.000 1.810 1.287
Mg 4.732 0.922 3.853
```

Entry from the Materials Project: Nd2H13C12O12 after structural relaxation (GGA-PBE).

Cell and atoms, written as extended XYZ:
```
78
Lattice="-2.436 -3.478 -6.052 -7.070 -4.881 5.651 -10.770 12.074 -2.604" Properties=species:S:1:pos:R:3 pbc="T T T"
O -16.136 6.577 -1.959
O -10.788 5.349 -2.162
O -7.216 0.685 -0.227
H -7.521 0.395 -4.291
H -9.279 -2.248 -3.762
C -7.474 4.668 -4.794
C -1.198 -0.219 -1.418
O -10.665 0.662 -0.445
H -10.523 3.293 0.523
O -11.756 -0.657 -3.213
H -15.771 3.426 -3.054
H -4.588 -4.471 -2.736
C -9.046 4.880 -6.184
C -4.563 -1.418 -0.210
C -5.006 -0.210 0.559
H -6.592 -4.820 -1.788
H -11.356 1.120 2.247
H -8.812 -0.363 2.157
C -1.763 -0.904 -2.683
H -8.551 3.597 -0.505
O -2.678 1.706 -0.758
H -14.472 5.218 -0.284
C -6.207 -0.093 -0.253
H -7.443 0.383 -5.047
C -2.310 0.773 -1.525
H -18.271 4.973 -2.855
C -10.840 3.344 -3.729
H -10.866 7.806 -6.025
C -11.977 3.563 -4.682
O -6.641 4.522 -3.913
O -6.859 -1.833 2.960
O -5.988 -1.524 -2.315
C -8.603 5.605 -5.010
O -9.011 6.566 -4.300
H -3.528 -2.496 -4.483
O -15.088 8.312 0.587
H -4.727 2.845 -2.851
O -3.821 0.251 -3.484
Nd -9.162 7.031 -1.994
O -13.560 5.352 -3.912
O -10.038 4.923 -6.966
C -5.324 -3.747 2.435
H -10.211 -5.244 -0.261
C -5.709 -1.134 -1.148
O -12.269 3.135 -5.836
O -7.856 -3.547 0.277
O -9.909 2.554 -3.610
O -11.074 11.631 -3.224
O -14.220 1.383 -3.249
C -11.655 0.838 -1.204
O -3.652 -2.239 -0.144
C -6.967 -3.627 1.103
C -6.493 -2.816 2.349
O -1.542 -1.922 -3.319
C -12.746 1.847 -1.178
O -4.480 0.531 1.439
C -12.516 4.626 -3.848
C -2.821 0.135 -2.721
Nd -9.051 1.403 1.017
C -5.786 -4.507 1.301
H -14.049 3.003 2.282
H -15.275 7.160 -5.948
Nd -15.891 5.363 -3.898
C -11.319 4.580 -3.010
H -11.044 8.967 -1.917
H -9.687 9.491 -3.207
H -12.359 7.080 0.663
C -12.141 0.246 -2.424
H -11.517 8.415 -2.142
C -7.925 3.900 -6.057
C -13.298 1.193 -2.482
O -7.587 2.883 -6.638
H -8.021 3.792 -0.002
O -13.021 2.804 -0.478
Nd -5.328 -1.220 -4.544
H -9.845 -1.902 -0.865
H -5.847 1.249 -5.744
H -7.391 5.715 -2.003
```

Entry from the Materials Project: BaSrI4 after structural relaxation (GGA-PBE).

Cell and atoms, written as extended XYZ:
```
24
Lattice="10.269 0.000 0.000 0.000 11.217 0.000 0.000 0.000 11.218" Properties=species:S:1:pos:R:3 pbc="T T T"
Sr 5.241 8.309 2.805
I 7.504 0.683 8.414
I 7.899 6.291 2.805
I 0.154 8.622 10.717
I 10.115 2.595 0.502
I 2.560 0.677 8.414
Ba 7.863 8.424 8.414
I 2.574 6.285 2.805
I 4.981 3.013 5.108
Ba 2.729 8.401 8.414
I 5.288 8.204 6.111
I 2.369 4.926 8.414
Ba 2.406 2.793 2.805
Sr 0.107 8.517 2.805
I 0.154 8.622 6.111
I 4.981 3.013 0.502
I 10.115 2.595 5.108
I 7.694 4.932 8.414
Sr 5.028 2.908 8.414
I 5.288 8.204 10.717
I 7.709 10.540 2.805
Ba 7.540 2.816 2.805
Sr 10.162 2.700 8.414
I 2.765 10.535 2.805
```

Entry from the Materials Project: HfMo4 after structural relaxation (GGA-PBE).

Cell and atoms, written as extended XYZ:
```
5
Lattice="-2.119 1.872 0.115 2.272 0.990 1.365 3.575 3.286 -10.239" Properties=species:S:1:pos:R:3 pbc="T T T"
Mo 0.850 2.430 -1.272
Mo 2.260 4.252 -4.941
Mo 2.878 3.718 -7.486
Hf 0.000 0.000 0.000
Mo 1.468 1.896 -3.818
```

Entry from the Materials Project: TaTiFe4 after structural relaxation (GGA-PBE).

Cell and atoms, written as extended XYZ:
```
12
Lattice="-2.361 -4.090 0.000 -2.361 4.090 0.000 0.000 0.000 -7.812" Properties=species:S:1:pos:R:3 pbc="T T T"
Fe -3.515 -0.697 -1.939
Fe -2.361 -2.697 -1.939
Fe 0.000 0.000 0.000
Ti -2.361 -1.364 -7.325
Ti -2.361 1.364 -0.487
Ta -2.361 1.363 -3.357
Fe -1.206 -0.697 -1.939
Ta -2.361 -1.363 -4.455
Fe -3.515 0.697 -5.873
Fe -2.361 2.696 -5.873
Fe 0.000 0.000 -3.906
Fe -1.206 0.697 -5.873
```

no.,raw total energy (eV per cell),size of the total moment (μB per formula unit)
1,-66.95,0.02
2,-33.64,3.56
3,-456.18,7.00
4,-80.30,0.00
5,-53.16,0.00
6,-110.02,3.08